This record from the Materials Project describes a relaxed structure of Th4P6PbO24. The functional is PBE-GGA.

**Total moment**: 0.00 μB/cell
**Formation enthalpy at 0 K**: -11172 kJ/mol of formula units
**Space group**: No. 1

a b c (Å): 6.912 8.229 9.450
angles (deg): 100.83 111.14 90.03
Fractional positions:
1 Th 0.000 0.000 0.000
2 Th 0.127 0.077 0.624
3 Th 0.308 0.581 0.615
4 Th 0.814 0.508 0.006
5 P 0.154 0.291 0.312
6 P 0.282 0.357 0.937
7 P 0.460 0.857 0.938
8 P 0.658 0.228 0.688
9 P 0.836 0.726 0.687
10 P 0.962 0.793 0.310
11 Pb 0.631 0.174 0.265
12 O 0.014 0.800 0.164
13 O 0.094 0.282 0.455
14 O 0.149 0.469 0.008
15 O 0.156 0.795 0.460
16 O 0.208 0.169 0.913
17 O 0.240 0.372 0.766
18 O 0.257 0.135 0.260
19 O 0.298 0.450 0.362
20 O 0.330 0.892 0.040
21 O 0.337 0.874 0.768
22 O 0.455 0.116 0.618
23 O 0.512 0.671 0.913
24 O 0.516 0.379 0.037
25 O 0.603 0.699 0.595
26 O 0.609 0.415 0.716
27 O 0.660 0.976 0.015
28 O 0.787 0.210 0.858
29 O 0.788 0.198 0.584
30 O 0.823 0.630 0.260
31 O 0.866 0.956 0.359
32 O 0.882 0.713 0.861
33 O 0.914 0.914 0.714
34 O 0.949 0.287 0.168
35 O 0.970 0.614 0.618

=====

This record from the Materials Project describes a relaxed structure of Ti4P6PbO24. The functional is PBE-GGA.

**Total moment**: 0.00 μB/cell
**Formation enthalpy at 0 K**: -10049 kJ/mol of formula units
**Space group**: No. 148

a b c (Å): 9.074 9.074 9.074
angles (deg): 55.47 55.47 55.47
Fractional positions:
1 Ti 0.145 0.145 0.145
2 Ti 0.350 0.350 0.350
3 Ti 0.650 0.650 0.650
4 Ti 0.855 0.855 0.855
5 P 0.036 0.750 0.470
6 P 0.250 0.530 0.964
7 P 0.470 0.036 0.750
8 P 0.530 0.964 0.250
9 P 0.750 0.470 0.036
10 P 0.964 0.250 0.530
11 Pb 0.500 0.500 0.500
12 O 0.018 0.729 0.659
13 O 0.035 0.950 0.315
14 O 0.050 0.685 0.965
15 O 0.128 0.285 0.503
16 O 0.229 0.593 0.402
17 O 0.271 0.341 0.982
18 O 0.285 0.503 0.128
19 O 0.315 0.035 0.950
20 O 0.341 0.982 0.271
21 O 0.402 0.229 0.593
22 O 0.407 0.598 0.771
23 O 0.497 0.872 0.715
24 O 0.503 0.128 0.285
25 O 0.593 0.402 0.229
26 O 0.598 0.771 0.407
27 O 0.659 0.018 0.729
28 O 0.685 0.965 0.050
29 O 0.715 0.497 0.872
30 O 0.729 0.659 0.018
31 O 0.771 0.407 0.598
32 O 0.872 0.715 0.497
33 O 0.950 0.315 0.035
34 O 0.965 0.050 0.685
35 O 0.982 0.271 0.341

=====

This record from the Materials Project describes a relaxed structure of TiP2PbO8. The functional is PBE-GGA.

**Total moment**: 0.00 μB/cell
**Formation enthalpy at 0 K**: -3252 kJ/mol of formula units
**Space group**: No. 15

a b c (Å): 8.835 8.835 8.321
angles (deg): 114.81 114.81 34.45
Fractional positions:
1 Ti 0.000 0.500 0.000
2 Ti 0.500 0.000 0.500
3 P 0.095 0.617 0.742
4 P 0.383 0.905 0.758
5 P 0.617 0.095 0.242
6 P 0.905 0.383 0.258
7 Pb 0.327 0.673 0.250
8 Pb 0.673 0.327 0.750
9 O 0.019 0.553 0.814
10 O 0.127 0.170 0.854
11 O 0.170 0.127 0.354
12 O 0.237 0.663 0.887
13 O 0.291 0.374 0.600
14 O 0.337 0.763 0.613
15 O 0.374 0.291 0.100
16 O 0.447 0.981 0.686
17 O 0.553 0.019 0.314
18 O 0.626 0.709 0.900
19 O 0.663 0.237 0.387
20 O 0.709 0.626 0.400
21 O 0.763 0.337 0.113
22 O 0.830 0.873 0.646
23 O 0.873 0.830 0.146
24 O 0.981 0.447 0.186

=====

This record from the Materials Project describes a relaxed structure of U3P2Pb2O16. The functional is PBE-GGA.

**Total moment**: 0.00 μB/cell
**Formation enthalpy at 0 K**: -6729 kJ/mol of formula units
**Space group**: No. 11

a b c (Å): 6.864 17.106 7.038
angles (deg): 90.00 107.66 90.00
Fractional positions:
1 U 0.104 0.142 0.302
2 U 0.104 0.250 0.800
3 U 0.104 0.358 0.302
4 U 0.896 0.642 0.698
5 U 0.896 0.750 0.200
6 U 0.896 0.858 0.698
7 P 0.099 0.057 0.806
8 P 0.099 0.443 0.806
9 P 0.901 0.557 0.194
10 P 0.901 0.943 0.194
11 Pb 0.385 0.600 0.102
12 Pb 0.385 0.900 0.102
13 Pb 0.615 0.100 0.898
14 Pb 0.615 0.400 0.898
15 O 0.023 0.115 0.941
16 O 0.023 0.385 0.941
17 O 0.066 0.004 0.278
18 O 0.066 0.496 0.278
19 O 0.113 0.250 0.485
20 O 0.128 0.250 0.123
21 O 0.138 0.113 0.647
22 O 0.138 0.387 0.647
23 O 0.175 0.750 0.280
24 O 0.183 0.646 0.781
25 O 0.183 0.854 0.781
26 O 0.307 0.022 0.927
27 O 0.307 0.478 0.927
28 O 0.378 0.125 0.368
29 O 0.378 0.375 0.368
30 O 0.388 0.250 0.884
31 O 0.612 0.750 0.116
32 O 0.622 0.625 0.632
33 O 0.622 0.875 0.632
34 O 0.693 0.522 0.073
35 O 0.693 0.978 0.073
36 O 0.817 0.146 0.219
37 O 0.817 0.354 0.219
38 O 0.825 0.250 0.720
39 O 0.862 0.613 0.353
40 O 0.862 0.887 0.353
41 O 0.872 0.750 0.877
42 O 0.887 0.750 0.515
43 O 0.934 0.504 0.722
44 O 0.934 0.996 0.722
45 O 0.977 0.615 0.059
46 O 0.977 0.885 0.059

=====

This record from the Materials Project describes a relaxed structure of UP2Pb2O10. The functional is PBE-GGA.

**Total moment**: 0.00 μB/cell
**Formation enthalpy at 0 K**: -4007 kJ/mol of formula units
**Space group**: No. 2

a b c (Å): 6.723 6.973 10.633
angles (deg): 86.22 78.13 81.48
Fractional positions:
1 U 0.115 0.384 0.160
2 U 0.885 0.616 0.840
3 P 0.277 0.184 0.448
4 P 0.367 0.532 0.821
5 P 0.633 0.468 0.179
6 P 0.723 0.816 0.552
7 Pb 0.262 0.052 0.771
8 Pb 0.277 0.702 0.449
9 Pb 0.723 0.298 0.551
10 Pb 0.738 0.948 0.229
11 O 0.070 0.635 0.212
12 O 0.118 0.294 0.372
13 O 0.144 0.137 0.106
14 O 0.158 0.091 0.573
15 O 0.201 0.496 0.944
16 O 0.233 0.671 0.738
17 O 0.406 0.336 0.478
18 O 0.411 0.017 0.367
19 O 0.455 0.338 0.755
20 O 0.463 0.364 0.149
21 O 0.537 0.636 0.851
22 O 0.545 0.662 0.245
23 O 0.589 0.983 0.633
24 O 0.594 0.664 0.522
25 O 0.767 0.329 0.262
26 O 0.799 0.504 0.056
27 O 0.842 0.909 0.427
28 O 0.856 0.863 0.894
29 O 0.882 0.706 0.628
30 O 0.930 0.365 0.788

=====

This record from the Materials Project describes a relaxed structure of ZnP2PbO7. The functional is PBE-GGA.

**Total moment**: 0.00 μB/cell
**Formation enthalpy at 0 K**: -2585 kJ/mol of formula units
**Space group**: No. 14

a b c (Å): 5.409 8.417 14.129
angles (deg): 90.00 112.14 90.00
Fractional positions:
1 Zn 0.224 0.152 0.396
2 Zn 0.224 0.348 0.896
3 Zn 0.776 0.652 0.104
4 Zn 0.776 0.848 0.604
5 P 0.081 0.536 0.333
6 P 0.081 0.964 0.833
7 P 0.162 0.700 0.980
8 P 0.162 0.800 0.480
9 P 0.838 0.200 0.520
10 P 0.838 0.300 0.020
11 P 0.919 0.036 0.167
12 P 0.919 0.464 0.667
13 Pb 0.481 0.673 0.777
14 Pb 0.481 0.827 0.277
15 Pb 0.519 0.173 0.723
16 Pb 0.519 0.327 0.223
17 O 0.019 0.138 0.846
18 O 0.019 0.362 0.346
19 O 0.117 0.168 0.520
20 O 0.117 0.332 0.020
21 O 0.165 0.616 0.445
22 O 0.165 0.884 0.945
23 O 0.176 0.119 0.239
24 O 0.176 0.381 0.739
25 O 0.221 0.597 0.900
26 O 0.221 0.903 0.400
27 O 0.315 0.559 0.299
28 O 0.315 0.941 0.799
29 O 0.390 0.693 0.086
30 O 0.390 0.807 0.586
31 O 0.610 0.193 0.414
32 O 0.610 0.307 0.914
33 O 0.685 0.059 0.201
34 O 0.685 0.441 0.701
35 O 0.779 0.097 0.600
36 O 0.779 0.403 0.100
37 O 0.824 0.619 0.261
38 O 0.824 0.881 0.761
39 O 0.835 0.116 0.055
40 O 0.835 0.384 0.555
41 O 0.883 0.668 0.980
42 O 0.883 0.832 0.480
43 O 0.981 0.638 0.654
44 O 0.981 0.862 0.154

=====

This record from the Materials Project describes a relaxed structure of P2Pd2O7. The functional is PBE-GGA.

**Formation enthalpy at 0 K**: -2022 kJ/mol of formula units
**Space group**: No. 15

a b c (Å): 7.204 7.204 8.219
angles (deg): 97.26 97.26 43.62
Fractional positions:
1 P 0.018 0.764 0.732
2 P 0.236 0.982 0.768
3 P 0.764 0.018 0.232
4 P 0.982 0.236 0.268
5 Pd 0.000 0.500 0.000
6 Pd 0.500 0.000 0.500
7 Pd 0.500 0.500 0.000
8 Pd 0.500 0.500 0.500
9 O 0.012 0.988 0.250
10 O 0.114 0.264 0.790
11 O 0.135 0.642 0.908
12 O 0.206 0.570 0.594
13 O 0.264 0.114 0.290
14 O 0.358 0.865 0.592
15 O 0.430 0.794 0.906
16 O 0.570 0.206 0.094
17 O 0.642 0.135 0.408
18 O 0.736 0.886 0.710
19 O 0.794 0.430 0.406
20 O 0.865 0.358 0.092
21 O 0.886 0.736 0.210
22 O 0.988 0.012 0.750

=====

This record from the Materials Project describes a relaxed structure of Tl2P4Pd3O14. The functional is PBE-GGA.

**Formation enthalpy at 0 K**: -4434 kJ/mol of formula units
**Space group**: No. 74

a b c (Å): 10.110 10.110 10.110
angles (deg): 119.77 90.55 119.59
Fractional positions:
1 Tl 0.210 0.186 0.024
2 Tl 0.337 0.814 0.524
3 Tl 0.663 0.186 0.476
4 Tl 0.790 0.814 0.976
5 P 0.125 0.256 0.430
6 P 0.125 0.695 0.870
7 P 0.326 0.256 0.630
8 P 0.326 0.695 0.070
9 P 0.674 0.305 0.930
10 P 0.674 0.744 0.370
11 P 0.875 0.305 0.130
12 P 0.875 0.744 0.570
13 Pd 0.000 0.500 0.500
14 Pd 0.191 0.941 0.250
15 Pd 0.500 0.000 0.000
16 Pd 0.500 0.500 0.000
17 Pd 0.500 0.500 0.500
18 Pd 0.809 0.059 0.750
19 O 0.024 0.455 0.284
20 O 0.024 0.740 0.569
21 O 0.079 0.070 0.275
22 O 0.079 0.804 0.009
23 O 0.170 0.253 0.583
24 O 0.170 0.587 0.917
25 O 0.271 0.432 0.453
26 O 0.271 0.817 0.839
27 O 0.295 0.070 0.491
28 O 0.295 0.804 0.225
29 O 0.329 0.260 0.784
30 O 0.329 0.545 0.069
31 O 0.479 0.432 0.661
32 O 0.479 0.817 0.047
33 O 0.521 0.183 0.953
34 O 0.521 0.568 0.339
35 O 0.671 0.455 0.931
36 O 0.671 0.740 0.216
37 O 0.705 0.196 0.775
38 O 0.705 0.930 0.509
39 O 0.729 0.183 0.161
40 O 0.729 0.568 0.547
41 O 0.830 0.413 0.083
42 O 0.830 0.747 0.417
43 O 0.921 0.196 0.991
44 O 0.921 0.930 0.725
45 O 0.976 0.260 0.431
46 O 0.976 0.545 0.716

=====

Look up the formation enthalpy at 0 K of the fifth one. -4007 kJ/mol of formula units

=====

Which formula does entry 7 have? P2Pd2O7

=====

Repeat the first record exactly.
This record from the Materials Project describes a relaxed structure of Th4P6PbO24. The functional is PBE-GGA.

**Total moment**: 0.00 μB/cell
**Formation enthalpy at 0 K**: -11172 kJ/mol of formula units
**Space group**: No. 1

a b c (Å): 6.912 8.229 9.450
angles (deg): 100.83 111.14 90.03
Fractional positions:
1 Th 0.000 0.000 0.000
2 Th 0.127 0.077 0.624
3 Th 0.308 0.581 0.615
4 Th 0.814 0.508 0.006
5 P 0.154 0.291 0.312
6 P 0.282 0.357 0.937
7 P 0.460 0.857 0.938
8 P 0.658 0.228 0.688
9 P 0.836 0.726 0.687
10 P 0.962 0.793 0.310
11 Pb 0.631 0.174 0.265
12 O 0.014 0.800 0.164
13 O 0.094 0.282 0.455
14 O 0.149 0.469 0.008
15 O 0.156 0.795 0.460
16 O 0.208 0.169 0.913
17 O 0.240 0.372 0.766
18 O 0.257 0.135 0.260
19 O 0.298 0.450 0.362
20 O 0.330 0.892 0.040
21 O 0.337 0.874 0.768
22 O 0.455 0.116 0.618
23 O 0.512 0.671 0.913
24 O 0.516 0.379 0.037
25 O 0.603 0.699 0.595
26 O 0.609 0.415 0.716
27 O 0.660 0.976 0.015
28 O 0.787 0.210 0.858
29 O 0.788 0.198 0.584
30 O 0.823 0.630 0.260
31 O 0.866 0.956 0.359
32 O 0.882 0.713 0.861
33 O 0.914 0.914 0.714
34 O 0.949 0.287 0.168
35 O 0.970 0.614 0.618